--- w ---
An optimized crystal structure of Al5Fe3O12, computed with PBE with a Hubbard U.

Cell: 5.7771 5.7771 14.0908 Å, 90.08 90.08 59.96°
Last column: nearest neighbours and their distance in Å.
Fractional coordinates of all 40 atoms:
Al 0.0000 0.5000 0.0000  6 O 1.91-1.95
Al 0.1643 0.1643 0.6634  6 O 1.86-1.97
Al 0.1642 0.6716 0.6630  6 O 1.86-2.00
Al 0.3284 0.8358 0.3370  6 O 1.86-2.00
Al 0.3398 0.3398 0.8379  6 O 1.85-1.98
Al 0.5000 0.0000 0.0000  6 O 1.91-1.95
Al 0.6602 0.6602 0.1621  6 O 1.85-1.98
Al 0.6716 0.1642 0.6630  6 O 1.86-2.00
Al 0.8358 0.3284 0.3370  6 O 1.86-2.00
Al 0.8357 0.8357 0.3366  6 O 1.86-1.97
Fe 0.0049 0.0049 0.1220  4 O 1.86-1.96
Fe 0.3298 0.3298 0.2068  4 O 1.85-1.98
Fe 0.3338 0.3338 0.4535  4 O 1.87-1.99
Fe 0.6662 0.6662 0.5465  4 O 1.87-1.99
Fe 0.6702 0.6702 0.7932  4 O 1.85-1.98
Fe 0.9951 0.9951 0.8780  4 O 1.86-1.96
O 0.0001 0.0001 0.2610  3 Al 1.96, 1 Fe 1.96
O 0.9999 0.9999 0.7390  3 Al 1.96, 1 Fe 1.96
O 0.0398 0.4784 0.7463  1 Fe 1.96, 3 Al 1.97-1.99
O 0.1563 0.6382 0.9143  2 Al 1.85-1.91, 1 Fe 1.86
O 0.1615 0.1615 0.4010  2 Al 1.86, 1 Fe 1.88
O 0.1614 0.6780 0.4010  2 Al 1.86, 1 Fe 1.87
O 0.1814 0.1814 0.9210  3 Al 1.95-1.97, 1 Fe 1.96
O 0.3215 0.3215 0.0758  1 Fe 1.85, 2 Al 1.93
O 0.3220 0.8386 0.5990  2 Al 1.86, 1 Fe 1.87
O 0.3340 0.3340 0.5944  3 Al 1.94-1.96, 1 Fe 1.99
O 0.3618 0.8437 0.0857  2 Al 1.85-1.91, 1 Fe 1.86
O 0.4784 0.0398 0.7463  1 Fe 1.96, 3 Al 1.97-1.99
O 0.4828 0.4828 0.7479  3 Al 1.91-2.00, 1 Fe 1.98
O 0.5172 0.5172 0.2521  3 Al 1.91-2.00, 1 Fe 1.98
O 0.5216 0.9602 0.2537  1 Fe 1.96, 3 Al 1.97-1.99
O 0.6382 0.1563 0.9143  2 Al 1.85-1.91, 1 Fe 1.86
O 0.6660 0.6660 0.4056  3 Al 1.94-1.96, 1 Fe 1.99
O 0.6780 0.1614 0.4010  2 Al 1.86, 1 Fe 1.87
O 0.6785 0.6785 0.9242  1 Fe 1.85, 2 Al 1.93
O 0.8186 0.8186 0.0790  3 Al 1.95-1.97, 1 Fe 1.96
O 0.8386 0.3220 0.5990  2 Al 1.86, 1 Fe 1.87
O 0.8385 0.8385 0.5990  2 Al 1.86, 1 Fe 1.88
O 0.8437 0.3618 0.0857  2 Al 1.85-1.91, 1 Fe 1.86
O 0.9602 0.5216 0.2537  1 Fe 1.96, 3 Al 1.97-1.99

Values from the calculation:
As for the total moment: 15.0 μB/f.u. The crystal system is monoclinic. As for the calculated density: 4.0 g/cm³.

=====

--- x ---
An optimized crystal structure of Al5Fe3O12, computed with PBE with a Hubbard U.

Cell: 5.7802 5.7802 14.2739 Å, 90.09 90.09 59.99°
Last column: nearest neighbours and their distance in Å.
Fractional coordinates of all 40 atoms:
Al 0.0000 0.0000 0.0000  6 O 1.84-2.01
Al 0.0106 0.5041 0.5078  6 O 1.86-1.99
Al 0.1691 0.1691 0.1739  6 O 1.85-1.99
Al 0.1695 0.6796 0.1741  6 O 1.84-2.00
Al 0.3399 0.8361 0.8381  6 O 1.89-1.98
Al 0.5031 0.5031 0.5081  6 O 1.86-1.99
Al 0.5041 0.0106 0.5078  6 O 1.86-1.99
Al 0.6789 0.6789 0.6791  6 O 1.84-1.99
Al 0.6796 0.1695 0.1741  6 O 1.84-2.00
Al 0.8361 0.3399 0.8381  6 O 1.89-1.98
Fe 0.0095 0.0095 0.6327  4 O 1.87-1.97
Fe 0.3328 0.3328 0.7210  4 O 1.87-1.95
Fe 0.3393 0.3393 0.3529  3 O 1.95
Fe 0.3436 0.3436 0.9632  4 O 1.87-2.00
Fe 0.6693 0.6693 0.0396  4 O 1.83-1.97
Fe 0.6734 0.6734 0.3024  4 O 1.92-1.94
O 0.0054 0.0054 0.2333  3 Al 1.84-1.85
O 0.0170 0.0170 0.7639  1 Fe 1.87, 2 Al 1.94
O 0.0266 0.4963 0.2459  2 Al 1.93-1.94, 1 Fe 1.94
O 0.1578 0.1578 0.9187  3 Al 1.96-1.98, 1 Fe 1.96
O 0.1821 0.7019 0.9260  2 Al 1.84-1.93, 1 Fe 1.87
O 0.1885 0.1885 0.4391  2 Al 1.86, 1 Fe 1.95
O 0.1890 0.6398 0.4395  2 Al 1.86, 1 Fe 1.95
O 0.3073 0.8580 0.0905  1 Fe 1.95, 3 Al 1.96-2.01
O 0.3392 0.3392 0.5869  1 Fe 1.92, 3 Al 1.99
O 0.3398 0.3398 0.1031  3 Al 1.98-1.99, 1 Fe 2.00
O 0.3800 0.8172 0.5880  3 Al 1.95-1.98, 1 Fe 1.96
O 0.4963 0.0266 0.2459  2 Al 1.93-1.94, 1 Fe 1.94
O 0.4964 0.4964 0.2462  2 Al 1.94, 1 Fe 1.94
O 0.4980 0.9723 0.7553  2 Al 1.84-1.89, 1 Fe 1.87
O 0.5190 0.5190 0.7616  3 Al 1.93-1.99, 1 Fe 1.95
O 0.6398 0.1890 0.4395  2 Al 1.86, 1 Fe 1.95
O 0.6608 0.6608 0.9118  1 Fe 1.83, 2 Al 1.92
O 0.6732 0.6732 0.4372  1 Fe 1.92, 3 Al 1.97-1.98
O 0.7019 0.1821 0.9260  2 Al 1.84-1.93, 1 Fe 1.87
O 0.8172 0.3800 0.5880  3 Al 1.95-1.98, 1 Fe 1.96
O 0.8223 0.8223 0.5897  3 Al 1.92-1.98, 1 Fe 1.97
O 0.8535 0.8535 0.0885  3 Al 1.94-2.00, 1 Fe 1.97
O 0.8580 0.3073 0.0905  1 Fe 1.95, 3 Al 1.96-2.01
O 0.9723 0.4980 0.7553  2 Al 1.84-1.89, 1 Fe 1.87

Values from the calculation:
As for the total moment: 15.0 μB/f.u. The crystal system is monoclinic. As for the calculated density: 4.0 g/cm³.

=====

--- y ---
An optimized crystal structure of Al5Fe3O12, computed with PBE with a Hubbard U.

Cell: 5.7632 5.7632 13.8802 Å, 90.15 90.15 60.20°
Last column: nearest neighbours and their distance in Å.
Fractional coordinates of all 40 atoms:
Al 0.0042 0.0042 0.3796  4 O 1.78-1.86
Al 0.1679 0.1679 0.8359  6 O 1.88-1.97
Al 0.3273 0.3273 0.2950  4 O 1.76-1.88
Al 0.3297 0.3297 0.0470  4 O 1.76-1.82
Al 0.3413 0.3413 0.6574  6 O 1.84-2.04
Al 0.6587 0.6587 0.3426  6 O 1.84-2.04
Al 0.6703 0.6703 0.9530  4 O 1.76-1.82
Al 0.6727 0.6727 0.7050  4 O 1.76-1.88
Al 0.8321 0.8321 0.1641  6 O 1.88-1.97
Al 0.9958 0.9958 0.6204  4 O 1.78-1.86
Fe 0.0000 0.5000 0.5000  6 O 1.94-2.01
Fe 0.1685 0.6765 0.8388  6 O 1.94-2.10
Fe 0.3235 0.8315 0.1612  6 O 1.94-2.10
Fe 0.5000 0.0000 0.5000  6 O 1.94-2.01
Fe 0.6765 0.1685 0.8388  6 O 1.94-2.10
Fe 0.8315 0.3235 0.1612  6 O 1.94-2.10
O 0.0099 0.0099 0.7538  2 Al 1.86-1.94, 2 Fe 2.04
O 0.0260 0.4812 0.7503  3 Al 1.88-2.04, 1 Fe 2.09
O 0.1533 0.6522 0.5885  2 Al 1.78-1.84, 1 Fe 1.95
O 0.1542 0.6587 0.0941  2 Al 1.77-1.88, 1 Fe 1.94
O 0.1644 0.1644 0.0901  1 Al 1.76, 2 Fe 1.94
O 0.1729 0.1729 0.5841  2 Al 1.84-1.96, 2 Fe 2.01
O 0.3221 0.3221 0.4220  1 Al 1.76, 2 Fe 1.94
O 0.3297 0.3297 0.9155  2 Al 1.82-1.95, 2 Fe 2.04
O 0.3413 0.8458 0.9059  2 Al 1.77-1.88, 1 Fe 1.94
O 0.3478 0.8467 0.4115  2 Al 1.78-1.84, 1 Fe 1.95
O 0.4812 0.0260 0.7503  3 Al 1.88-2.04, 1 Fe 2.09
O 0.4948 0.4948 0.7445  2 Al 1.86-1.95
O 0.5052 0.5052 0.2555  2 Al 1.86-1.95
O 0.5188 0.9740 0.2497  3 Al 1.88-2.04, 1 Fe 2.09
O 0.6522 0.1533 0.5885  2 Al 1.78-1.84, 1 Fe 1.95
O 0.6587 0.1542 0.0941  2 Al 1.77-1.88, 1 Fe 1.94
O 0.6703 0.6703 0.0845  2 Al 1.82-1.95, 2 Fe 2.04
O 0.6779 0.6779 0.5780  1 Al 1.76, 2 Fe 1.94
O 0.8271 0.8271 0.4159  2 Al 1.84-1.96, 2 Fe 2.01
O 0.8356 0.8356 0.9099  1 Al 1.76, 2 Fe 1.94
O 0.8458 0.3413 0.9059  2 Al 1.77-1.88, 1 Fe 1.94
O 0.8467 0.3478 0.4115  2 Al 1.78-1.84, 1 Fe 1.95
O 0.9740 0.5188 0.2497  3 Al 1.88-2.04, 1 Fe 2.09
O 0.9901 0.9901 0.2462  2 Al 1.86-1.94, 2 Fe 2.04

Values from the calculation:
As for the total moment: 15.0 μB/f.u. The crystal system is monoclinic. As for the calculated density: 4.1 g/cm³.

=====

Energies relative to the minimum, kJ/mol of atoms: w 0.0; x 2.3; y 3.5